# 1
VASP calculation (PBE-GGA) on a relaxed structure of LiTl2GaF6.

Properties
SG: Fm-3m, No. 225
Energy: -44.850 eV for the cell shown
Formation energy: -2.647 eV per atom

Cell: 5.9188 5.9188 5.9188 Å, 60.00 60.00 60.00°
Fractional positions:
Li1 0.0000 0.0000 0.0000
Tl1 0.2500 0.2500 0.2500
Tl2 0.7500 0.7500 0.7500
Ga1 0.5000 0.5000 0.5000
F1 0.2671 0.2671 0.7329
F2 0.2671 0.7329 0.2671
F3 0.2671 0.7329 0.7329
F4 0.7329 0.2671 0.2671
F5 0.7329 0.2671 0.7329
F6 0.7329 0.7329 0.2671

---

# 2
VASP calculation (PBE-GGA) on a relaxed structure of Zr4Ni2H9.

Properties
SG: P-1, No. 2
Energy: -165.961 eV for the cell shown
Formation energy: -0.554 eV per atom

Cell: 5.6155 5.6297 8.8797 Å, 82.01 82.31 74.92°
Fractional positions:
Zr1 0.1663 0.4964 0.3384
Zr2 0.2465 0.9258 0.5794
Zr3 0.2487 0.6024 0.9201
Zr4 0.3213 0.0166 0.1665
Zr5 0.6787 0.9834 0.8335
Zr6 0.7513 0.3976 0.0799
Zr7 0.7535 0.0742 0.4206
Zr8 0.8337 0.5036 0.6616
Ni1 0.1496 0.1493 0.8495
Ni2 0.3719 0.3739 0.6273
Ni3 0.6281 0.6261 0.3727
Ni4 0.8504 0.8507 0.1505
H1 0.0015 0.7478 0.5016
H2 0.0067 0.7591 0.7494
H3 0.1213 0.2900 0.0032
H4 0.1503 0.7481 0.1429
H5 0.3362 0.7714 0.3644
H6 0.3474 0.9298 0.9420
H7 0.3721 0.3841 0.1231
H8 0.3786 0.1280 0.3794
H9 0.4234 0.5998 0.7010
H10 0.5766 0.4002 0.2990
H11 0.6214 0.8720 0.6206
H12 0.6279 0.6159 0.8769
H13 0.6526 0.0702 0.0580
H14 0.6638 0.2286 0.6356
H15 0.8497 0.2519 0.8571
H16 0.8787 0.7100 0.9968
H17 0.9933 0.2409 0.2506
H18 0.9985 0.2522 0.4984

---

# 3
VASP calculation (PBE-GGA) on a relaxed structure of YReN3.

Properties
SG: P1, No. 1
Energy: -46.649 eV for the cell shown
Formation energy: -0.762 eV per atom

Cell: 3.9383 3.9506 3.9506 Å, 89.71 89.06 88.10°
Fractional positions:
Y1 0.0000 0.0000 0.0000
Re1 0.5867 0.5429 0.5220
N1 0.0948 0.5543 0.5268
N2 0.6022 0.5480 0.0237
N3 0.6045 0.0468 0.5245

---

# 4
VASP calculation (PBE-GGA) on a relaxed structure of ZnSO5.

Properties
Energy above the lowest structure with this stoichiometry: 0 meV per atom
SG: C2/c, No. 15
Energy: -72.143 eV for the cell shown
Formation energy: -1.339 eV per atom

Cell: 5.2706 5.2706 7.4520 Å, 107.77 107.77 97.03°
Fractional positions:
Zn1 0.0000 0.0000 0.0000
Zn2 0.0000 0.0000 0.5000
S1 0.3405 0.6595 0.7500
S2 0.6595 0.3405 0.2500
O1 0.1047 0.8953 0.2500
O2 0.1334 0.6678 0.8493
O3 0.2776 0.3792 0.5997
O4 0.3322 0.8666 0.6507
O5 0.3792 0.2776 0.0997
O6 0.6208 0.7224 0.9003
O7 0.6678 0.1334 0.3493
O8 0.7224 0.6208 0.4003
O9 0.8666 0.3322 0.1507
O10 0.8953 0.1047 0.7500

---

# 5
VASP calculation (PBE-GGA) on a relaxed structure of Hg.

Properties
Energy above the lowest structure with this stoichiometry: 8 meV per atom
SG: Cmce, No. 64
Energy: -3.545 eV for the cell shown
Formation energy: 0.008 eV per atom

Cell: 5.6957 10.7195 6.6324 Å, 90.00 90.00 90.00°
Fractional positions:
Hg1 0.0000 0.0000 0.0000
Hg2 0.0000 0.1811 0.4082
Hg3 0.0000 0.3189 0.9082
Hg4 0.0000 0.5000 0.5000
Hg5 0.0000 0.6811 0.0918
Hg6 0.0000 0.8189 0.5918
Hg7 0.5000 0.0000 0.5000
Hg8 0.5000 0.1811 0.0918
Hg9 0.5000 0.3189 0.5918
Hg10 0.5000 0.5000 0.0000
Hg11 0.5000 0.6811 0.4082
Hg12 0.5000 0.8189 0.9082

---

# 6
VASP calculation (PBE-GGA) on a relaxed structure of TmRh.

Properties
SG: Pm-3m, No. 221
Energy: -13.802 eV for the cell shown
Formation energy: -0.981 eV per atom

Cell: 3.3830 3.3830 3.3830 Å, 90.00 90.00 90.00°
Fractional positions:
Tm1 0.0000 0.0000 0.0000
Rh1 0.5000 0.5000 0.5000

---

# 7
VASP calculation (PBE-GGA) on a relaxed structure of Cs2NaInH6.

Properties
SG: Fm-3m, No. 225
Energy: -27.098 eV for the cell shown
Formation energy: -0.195 eV per atom

Cell: 6.3125 6.3125 6.3125 Å, 60.00 60.00 60.00°
Fractional positions:
Cs1 0.2500 0.2500 0.2500
Cs2 0.7500 0.7500 0.7500
Na1 0.0000 0.0000 0.0000
In1 0.5000 0.5000 0.5000
H1 0.2760 0.2760 0.7240
H2 0.2760 0.7240 0.2760
H3 0.2760 0.7240 0.7240
H4 0.7240 0.2760 0.2760
H5 0.7240 0.2760 0.7240
H6 0.7240 0.7240 0.2760

---

# 8
VASP calculation (PBE-GGA) on a relaxed structure of LiPu2TeO2.

Properties
Energy above the lowest structure with this stoichiometry: 156 meV per atom
SG: Cm, No. 8
Energy: -109.696 eV for the cell shown
Formation energy: -2.123 eV per atom

Cell: 5.7122 5.7038 7.3155 Å, 90.00 112.90 90.00°
Fractional positions:
Li1 0.0000 0.0000 0.0000
Li2 0.5000 0.5000 0.0000
Pu1 0.0135 0.5000 0.0292
Pu2 0.3093 0.5000 0.6255
Pu3 0.5135 0.0000 0.0292
Pu4 0.8093 0.0000 0.6255
Te1 0.1852 0.0000 0.3759
Te2 0.6852 0.5000 0.3759
O1 0.1808 0.2497 0.8658
O2 0.1808 0.7503 0.8658
O3 0.6808 0.2503 0.8658
O4 0.6808 0.7497 0.8658

---

# 9
VASP calculation (PBE-GGA) on a relaxed structure of U2Fe15Ge2.

Properties
SG: Cmcm, No. 63
Energy: -318.071 eV for the cell shown
Formation energy: -0.008 eV per atom

Cell: 8.3521 8.3521 8.5399 Å, 90.00 90.00 120.16°
Fractional positions:
U1 0.0001 0.9999 0.2500
U2 0.9999 0.0001 0.7500
U3 0.3333 0.6667 0.7500
U4 0.6667 0.3333 0.2500
Fe1 0.0000 0.5000 0.0000
Fe2 0.0000 0.5000 0.5000
Fe3 0.0211 0.3533 0.2500
Fe4 0.0216 0.6681 0.2500
Fe5 0.1640 0.3283 0.5099
Fe6 0.1640 0.3283 0.9901
Fe7 0.1642 0.8358 0.5099
Fe8 0.1642 0.8358 0.9901
Fe9 0.3283 0.1640 0.0099
Fe10 0.3283 0.1640 0.4901
Fe11 0.3319 0.3533 0.2500
Fe12 0.3319 0.9784 0.2500
Fe13 0.3533 0.0211 0.7500
Fe14 0.3533 0.3319 0.7500
Fe15 0.5000 0.0000 0.0000
Fe16 0.5000 0.0000 0.5000
Fe17 0.5000 0.5000 0.0000
Fe18 0.5000 0.5000 0.5000
Fe19 0.6467 0.6681 0.2500
Fe20 0.6467 0.9789 0.2500
Fe21 0.6681 0.0216 0.7500
Fe22 0.6681 0.6467 0.7500
Fe23 0.6717 0.8360 0.5099
Fe24 0.6717 0.8360 0.9901
Fe25 0.8358 0.1642 0.0099
Fe26 0.8358 0.1642 0.4901
Fe27 0.8360 0.6717 0.0099
Fe28 0.8360 0.6717 0.4901
Fe29 0.9784 0.3319 0.7500
Fe30 0.9789 0.6467 0.7500
Ge1 0.3333 0.6667 0.0998
Ge2 0.3333 0.6667 0.4002
Ge3 0.6667 0.3333 0.5998
Ge4 0.6667 0.3333 0.9002

---

# 10
VASP calculation (PBE-GGA) on a relaxed structure of Ba5Sb3.

Properties
SG: P6_3/mcm, No. 193
Energy: -59.915 eV for the cell shown
Formation energy: -1.069 eV per atom

Cell: 10.1354 10.1354 7.9108 Å, 90.00 90.00 120.00°
Fractional positions:
Ba1 0.0000 0.2558 0.2500
Ba2 0.0000 0.7442 0.7500
Ba3 0.2558 0.0000 0.2500
Ba4 0.2558 0.2558 0.7500
Ba5 0.3333 0.6667 0.0000
Ba6 0.3333 0.6667 0.5000
Ba7 0.6667 0.3333 0.0000
Ba8 0.6667 0.3333 0.5000
Ba9 0.7442 0.0000 0.7500
Ba10 0.7442 0.7442 0.2500
Sb1 0.0000 0.3911 0.7500
Sb2 0.0000 0.6089 0.2500
Sb3 0.3911 0.0000 0.7500
Sb4 0.3911 0.3911 0.2500
Sb5 0.6089 0.0000 0.2500
Sb6 0.6089 0.6089 0.7500

---

# 11
VASP calculation (PBE-GGA) on a relaxed structure of KTaO3.

Properties
SG: Pm-3m, No. 221
Energy: -41.139 eV for the cell shown
Formation energy: -3.078 eV per atom

Cell: 4.0308 4.0308 4.0308 Å, 90.00 90.00 90.00°
Fractional positions:
K1 0.0000 0.0000 0.0000
Ta1 0.5000 0.5000 0.5000
O1 0.0000 0.5000 0.5000
O2 0.5000 0.0000 0.5000
O3 0.5000 0.5000 0.0000

---

# 12
VASP calculation (PBE-GGA) on a relaxed structure of MgBr2O6.

Properties
Energy above the lowest structure with this stoichiometry: 506 meV per atom
SG: C2/m, No. 12
Energy: -37.502 eV for the cell shown
Formation energy: -0.434 eV per atom

Cell: 6.3323 6.3323 4.5378 Å, 96.64 96.64 59.35°
Fractional positions:
Mg1 0.0000 0.0000 0.0000
Br1 0.2997 0.2997 0.8245
Br2 0.7003 0.7003 0.1755
O1 0.1829 0.1829 0.0556
O2 0.2093 0.7573 0.6305
O3 0.2427 0.7907 0.3695
O4 0.7573 0.2093 0.6305
O5 0.7907 0.2427 0.3695
O6 0.8171 0.8171 0.9444

---

> Which formula does entry 2 have?

Zr4Ni2H9